1.
The following is a PBE+U calculation of a relaxed MgNiP2O7 crystal, from the Materials Project.

Calculated values
**Energy with MP2020 corrections**: -7.410 eV per atom
**Energy above the lowest structure with this stoichiometry**: 0.00 eV per formula unit
**Formation enthalpy at 0 K**: -2.61 eV per atom
**Energy**: -6.742 eV/atom

a b c (Å): 7.0104 8.3800 9.1282
angles (deg): 90.00 113.40 90.00
With the nearest neighbours (Å) after each atom.
Space group P2_1/c (No. 14)
Unique sites:
Mg 0.1945 0.0592 0.3194 [4 per cell]  5 O 1.97-2.08
Ni 0.2701 0.0747 0.8899 [4 per cell]  6 O 2.05-2.20
P 0.0306 0.7275 0.9679 [4 per cell]  4 O 1.54-1.59
P 0.4402 0.7329 0.2595 [4 per cell]  4 O 1.51-1.61
O 0.0160 0.0914 0.6540 [4 per cell]  1 P 1.54
O 0.0507 0.6098 0.3970 [4 per cell]  1 P 1.54
O 0.1251 0.2350 0.4510 [4 per cell]  1 P 1.54
O 0.2486 0.6739 0.1009 [4 per cell]  2 P 1.59-1.61
O 0.3794 0.2399 0.2968 [4 per cell]  1 P 1.54
O 0.3876 0.6101 0.8146 [4 per cell]  1 P 1.51
O 0.4752 0.5952 0.3799 [4 per cell]  1 P 1.54

=====

2.
The following is a PBE+U calculation of a relaxed HoMn2O5 crystal, from the Materials Project.

Calculated values
**Energy with MP2020 corrections**: -8.611 eV per atom
**Formation enthalpy at 0 K**: -2.66 eV per atom
**Energy**: -7.765 eV/atom

a b c (Å): 7.3237 8.5531 5.7839
angles (deg): 90.00 90.00 90.00
With the nearest neighbours (Å) after each atom.
Space group Pbam (No. 55)
Unique sites:
Ho 0.1379 0.1705 0.0000 [4 per cell]  8 O 2.33-2.49
Mn 0.0000 0.5000 0.2534 [4 per cell]  6 O 1.90-1.96
Mn 0.0881 0.8485 0.5000 [4 per cell]  5 O 1.94-2.03
O 0.0000 0.0000 0.2691 [4 per cell]  2 Mn 1.97
O 0.1067 0.7073 0.2394 [8 per cell]  2 Mn 1.94
O 0.1516 0.4312 0.5000 [4 per cell]  3 Mn 1.90-2.03
O 0.1646 0.4425 0.0000 [4 per cell]  2 Mn 1.96

=====

3.
The following is a PBE+U calculation of a relaxed Zn2SnWO6 crystal, from the Materials Project.

Calculated values
**Energy with MP2020 corrections**: -6.633 eV per atom
**Energy above the lowest structure with this stoichiometry**: 0.88 eV per formula unit
**Formation enthalpy at 0 K**: -1.72 eV per atom
**Energy**: -5.777 eV/atom

a b c (Å): 5.6645 5.7703 5.7757
angles (deg): 89.50 65.86 65.78
With the nearest neighbours (Å) after each atom.
Space group P1 (No. 1)
Unique sites:
Zn 0.0000 0.0000 0.0000 [1 per cell]  2 O 1.88-1.91
Zn 0.0068 0.5441 0.3414 [1 per cell]  3 O 1.89-2.06
Sn 0.3748 0.8786 0.2976 [1 per cell]  2 O 2.11-2.21
W 0.3339 0.4074 0.7763 [1 per cell]  4 O 1.76-1.97
O 0.1199 0.2505 0.0358 [1 per cell]  1 Zn 1.88, 1 W 1.98
O 0.1338 0.3884 0.5849 [1 per cell]  1 Zn 1.89, 1 W 1.91
O 0.3334 0.7291 0.6578 [1 per cell]  1 W 1.97, 1 Zn 2.12, 1 Sn 2.21
O 0.3920 0.5166 0.0588 [1 per cell]  1 W 1.95, 1 Zn 2.06
O 0.6830 0.1558 0.5890 [1 per cell]  1 W 1.76
O 0.8143 0.7901 0.1584 [1 per cell]  2 Zn 1.91-1.99, 1 Sn 2.11

=====

- Which of these has the highest formation enthalpy at 0 K?
  Zn2SnWO6

=====

- Among the records above, which one has the highest formation enthalpy at 0 K?
  Zn2SnWO6